(one)
{
  "formula": "LiVOF3",
  "functional": "GGA+U",
  "state": "relaxed",
  "sg": "P2_12_12_1",
  "total_magnetization_mub_per_cell": 8.00,
  "lattice": [[7.521, 0.000, 0.000], [0.000, 8.848, 0.000], [0.000, 0.000, 8.864]],
  "species": ["Li", "Li", "Li", "Li", "Li", "Li", "Li", "Li", "V", "V", "V", "V", "V", "V", "V", "V", "O", "O", "O", "O", "O", "O", "O", "O", "F", "F", "F", "F", "F", "F", "F", "F", "F", "F", "F", "F", "F", "F", "F", "F", "F", "F", "F", "F", "F", "F", "F", "F"],
  "fractional_positions": [[0.000, 0.249, 0.001], [0.000, 0.749, 0.499], [0.126, 0.600, 0.850], [0.374, 0.400, 0.350], [0.500, 0.251, 0.999], [0.500, 0.751, 0.501], [0.626, 0.900, 0.150], [0.874, 0.100, 0.650], [0.143, 0.374, 0.623], [0.145, 0.119, 0.368], [0.355, 0.881, 0.868], [0.357, 0.626, 0.123], [0.643, 0.126, 0.377], [0.645, 0.381, 0.632], [0.855, 0.619, 0.132], [0.857, 0.874, 0.877], [0.129, 0.860, 0.875], [0.132, 0.626, 0.110], [0.368, 0.374, 0.610], [0.371, 0.140, 0.375], [0.629, 0.640, 0.125], [0.632, 0.874, 0.890], [0.868, 0.126, 0.390], [0.871, 0.360, 0.625], [0.108, 0.135, 0.160], [0.110, 0.591, 0.628], [0.118, 0.147, 0.601], [0.118, 0.909, 0.389], [0.120, 0.377, 0.840], [0.123, 0.353, 0.396], [0.377, 0.647, 0.896], [0.380, 0.623, 0.340], [0.382, 0.091, 0.889], [0.382, 0.853, 0.101], [0.390, 0.409, 0.128], [0.392, 0.865, 0.660], [0.608, 0.365, 0.840], [0.610, 0.909, 0.372], [0.618, 0.353, 0.399], [0.618, 0.591, 0.611], [0.620, 0.123, 0.160], [0.623, 0.147, 0.604], [0.877, 0.853, 0.104], [0.880, 0.877, 0.660], [0.882, 0.409, 0.111], [0.882, 0.647, 0.899], [0.890, 0.091, 0.872], [0.892, 0.635, 0.340]]
}

---

(two)
{
  "formula": "LiVOF3",
  "functional": "GGA+U",
  "state": "relaxed",
  "sg": "C2",
  "total_magnetization_mub_per_cell": 2.00,
  "lattice": [[6.615, -2.365, 0.000], [6.615, 2.365, 0.000], [-1.645, 0.000, 4.431]],
  "species": ["Li", "Li", "V", "V", "O", "O", "F", "F", "F", "F", "F", "F"],
  "fractional_positions": [[0.000, 0.000, 0.000], [0.504, 0.496, 0.500], [0.283, 0.331, 0.783], [0.669, 0.717, 0.217], [0.021, 0.579, 0.524], [0.421, 0.979, 0.476], [0.221, 0.617, 0.128], [0.383, 0.779, 0.872], [0.590, 0.015, 0.074], [0.625, 0.216, 0.718], [0.784, 0.375, 0.282], [0.985, 0.410, 0.926]]
}

---

Winner for stability: (two)